1.
The following is a PBE with a Hubbard U calculation of a relaxed W5O4F22 crystal, from the Materials Project database.

Computed properties:
- Total magnetization: 0.00 Bohr magnetons per cell
- Crystal system: tetragonal
- DFT formation energy: -2.697 eV per atom
- Final energy: -700.80 eV for the cell shown

```
data_W5O4F22
_chemical_formula_sum 'W20 O16 F88'
_space_group_name_H-M_alt 'I 41/a'
_space_group_IT_number 88
_cell_length_a 10.226
_cell_length_b 10.226
_cell_length_c 20.896
_cell_angle_alpha 90.00
_cell_angle_beta 90.00
_cell_angle_gamma 90.00
loop_
_space_group_symop_operation_xyz
'x,y,z'
'-x,-y,-z'
'-y+3/4,x+1/4,z+1/4'
'y+3/4,-x+1/4,-z+1/4'
'-x+1/2,-y,z+1/2'
'x+1/2,y,-z+1/2'
'y+3/4,-x+3/4,z+3/4'
'-y+3/4,x+3/4,-z+3/4'
'x+1/2,y+1/2,z+1/2'
'-x+1/2,-y+1/2,-z+1/2'
'-y+1/4,x+3/4,z+3/4'
'y+1/4,-x+3/4,-z+3/4'
'-x,-y+1/2,z'
'x,y+1/2,-z'
'y+1/4,-x+1/4,z+1/4'
'-y+1/4,x+1/4,-z+1/4'
loop_
_atom_site_label
_atom_site_fract_x
_atom_site_fract_y
_atom_site_fract_z
W1 0.000 0.250 0.125
W2 0.206 0.459 0.847
O1 0.069 0.074 0.127
F1 0.000 0.250 0.035
F2 0.081 0.098 0.344
F3 0.097 0.387 0.783
F4 0.102 0.405 0.570
F5 0.161 0.011 0.962
F6 0.184 0.465 0.409
```

---

2.
The following is a PBE with a Hubbard U calculation of a relaxed WOF4 crystal, from the Materials Project database.

Computed properties:
- Total magnetization: 0.00 Bohr magnetons per cell
- Relative energy among the computed polymorphs: 0.245 eV/f.u.
- Crystal system: monoclinic
- DFT formation energy: -2.642 eV per atom
- Final energy: -275.54 eV for the cell shown

```
data_WOF4
_chemical_formula_sum 'W8 O8 F32'
_space_group_name_H-M_alt 'P 1 21/c 1'
_space_group_IT_number 14
_cell_length_a 5.686
_cell_length_b 17.610
_cell_length_c 8.107
_cell_angle_alpha 90.00
_cell_angle_beta 91.57
_cell_angle_gamma 90.00
loop_
_space_group_symop_operation_xyz
'x,y,z'
'-x,-y,-z'
'-x,y+1/2,-z+1/2'
'x,-y+1/2,z+1/2'
loop_
_atom_site_label
_atom_site_fract_x
_atom_site_fract_y
_atom_site_fract_z
W1 0.237 0.112 0.100
W2 0.245 0.641 0.017
O1 0.064 0.637 0.846
O2 0.399 0.079 0.941
F1 0.001 0.658 0.185
F2 0.067 0.587 0.479
F3 0.200 0.215 0.040
F4 0.241 0.028 0.244
F5 0.244 0.540 0.094
F6 0.294 0.747 0.038
F7 0.464 0.128 0.581
F8 0.495 0.151 0.247
```

---

3.
The following is a PBE with a Hubbard U calculation of a relaxed W7O6F30 crystal, from the Materials Project database.

Computed properties:
- Total magnetization: 0.00 Bohr magnetons per cell
- Crystal system: triclinic
- DFT formation energy: -2.688 eV per atom
- Final energy: -244.36 eV for the cell shown

```
data_W7O6F30
_chemical_formula_sum 'W7 O6 F30'
_space_group_name_H-M_alt 'P -1'
_space_group_IT_number 2
_cell_length_a 9.279
_cell_length_b 9.491
_cell_length_c 9.532
_cell_angle_alpha 115.51
_cell_angle_beta 100.21
_cell_angle_gamma 99.91
loop_
_space_group_symop_operation_xyz
'x,y,z'
'-x,-y,-z'
loop_
_atom_site_label
_atom_site_fract_x
_atom_site_fract_y
_atom_site_fract_z
W1 0.000 0.000 0.000
W2 0.228 0.758 0.759
W3 0.245 0.076 0.395
W4 0.248 0.397 0.084
O1 0.080 0.214 0.023
O2 0.118 0.912 0.851
O3 0.169 0.047 0.181
F1 0.048 0.589 0.686
F2 0.060 0.923 0.352
F3 0.130 0.544 0.139
F4 0.153 0.246 0.474
F5 0.181 0.758 0.559
F6 0.203 0.371 0.872
F7 0.276 0.756 0.959
F8 0.294 0.427 0.297
F9 0.301 0.099 0.604
F10 0.334 0.601 0.682
F11 0.338 0.907 0.320
F12 0.369 0.250 0.029
F13 0.408 0.925 0.829
F14 0.425 0.566 0.147
F15 0.429 0.226 0.437
```